1.
This record from the Materials Project database describes a geometry-optimized K structure. The functional is meta-GGA r2SCAN.

```
data_K
_cell_length_a 11.435
_cell_length_b 11.435
_cell_length_c 11.435
_cell_angle_alpha 90.00
_cell_angle_beta 90.00
_cell_angle_gamma 90.00
_space_group_name_H-M_alt 'P 1'
_space_group_IT_number 1
_space_group_name_Hall 'P 1'
loop_
_atom_site_label
_atom_site_fract_x
_atom_site_fract_y
_atom_site_fract_z
K1 0.047 0.125 0.797
K2 0.062 0.938 0.438
K3 0.125 0.797 0.047
K4 0.188 0.188 0.188
K5 0.203 0.547 0.375
K6 0.297 0.453 0.875
K7 0.312 0.812 0.688
K8 0.375 0.203 0.547
K9 0.438 0.062 0.938
K10 0.453 0.875 0.297
K11 0.547 0.375 0.203
K12 0.562 0.562 0.562
K13 0.625 0.703 0.953
K14 0.688 0.312 0.812
K15 0.703 0.953 0.625
K16 0.797 0.047 0.125
K17 0.812 0.688 0.312
K18 0.875 0.297 0.453
K19 0.938 0.438 0.062
K20 0.953 0.625 0.703
```

---

2.
This record from the Materials Project database describes a geometry-optimized K structure. The functional is meta-GGA r2SCAN.

```
data_K
_cell_length_a 4.416
_cell_length_b 4.416
_cell_length_c 16.092
_cell_angle_alpha 90.00
_cell_angle_beta 90.00
_cell_angle_gamma 90.00
_space_group_name_H-M_alt 'P 1'
_space_group_IT_number 1
_space_group_name_Hall 'P 1'
loop_
_atom_site_label
_atom_site_fract_x
_atom_site_fract_y
_atom_site_fract_z
K1 0.000 0.250 0.375
K2 0.000 0.750 0.625
K3 0.500 0.250 0.125
K4 0.500 0.750 0.875
```

---

3.
This record from the Materials Project database describes a geometry-optimized K structure. The functional is meta-GGA r2SCAN.

```
data_K
_cell_length_a 4.786
_cell_length_b 4.786
_cell_length_c 34.916
_cell_angle_alpha 90.00
_cell_angle_beta 90.00
_cell_angle_gamma 120.00
_space_group_name_H-M_alt 'P 1'
_space_group_IT_number 1
_space_group_name_Hall 'P 1'
loop_
_atom_site_label
_atom_site_fract_x
_atom_site_fract_y
_atom_site_fract_z
K1 0.000 0.000 0.000
K2 0.000 0.000 0.222
K3 0.000 0.000 0.778
K4 0.333 0.667 0.444
K5 0.333 0.667 0.667
K6 0.333 0.667 0.889
K7 0.667 0.333 0.111
K8 0.667 0.333 0.333
K9 0.667 0.333 0.556
```

---

4.
This record from the Materials Project database describes a geometry-optimized K structure. The functional is meta-GGA r2SCAN.

```
data_K
_cell_length_a 12.570
_cell_length_b 9.974
_cell_length_c 9.767
_cell_angle_alpha 90.00
_cell_angle_beta 90.00
_cell_angle_gamma 90.00
_space_group_name_H-M_alt 'P 1'
_space_group_IT_number 1
_space_group_name_Hall 'P 1'
loop_
_atom_site_label
_atom_site_fract_x
_atom_site_fract_y
_atom_site_fract_z
K1 0.000 0.239 0.239
K2 0.000 0.261 0.739
K3 0.000 0.739 0.261
K4 0.000 0.761 0.761
K5 0.247 0.000 0.500
K6 0.247 0.500 0.000
K7 0.253 0.000 0.000
K8 0.253 0.500 0.500
K9 0.500 0.239 0.261
K10 0.500 0.261 0.761
K11 0.500 0.739 0.239
K12 0.500 0.761 0.739
K13 0.747 0.000 0.000
K14 0.747 0.500 0.500
K15 0.753 0.000 0.500
K16 0.753 0.500 0.000
```

---

5.
This record from the Materials Project database describes a geometry-optimized K structure. The functional is meta-GGA r2SCAN.

```
data_K
_cell_length_a 4.768
_cell_length_b 4.768
_cell_length_c 15.699
_cell_angle_alpha 90.00
_cell_angle_beta 90.00
_cell_angle_gamma 120.00
_space_group_name_H-M_alt 'P 1'
_space_group_IT_number 1
_space_group_name_Hall 'P 1'
loop_
_atom_site_label
_atom_site_fract_x
_atom_site_fract_y
_atom_site_fract_z
K1 0.000 0.000 0.000
K2 0.000 0.000 0.500
K3 0.333 0.667 0.250
K4 0.667 0.333 0.750
```

---

6.
This record from the Materials Project database describes a geometry-optimized KLiMg14O15 structure. The functional is meta-GGA r2SCAN.

```
data_KLiMg14O15
_cell_length_a 4.316
_cell_length_b 8.482
_cell_length_c 8.660
_cell_angle_alpha 90.00
_cell_angle_beta 90.00
_cell_angle_gamma 90.00
_space_group_name_H-M_alt 'P 1'
_space_group_IT_number 1
_space_group_name_Hall 'P 1'
loop_
_atom_site_label
_atom_site_fract_x
_atom_site_fract_y
_atom_site_fract_z
K1 0.000 0.000 0.000
Li1 0.000 0.500 0.457
Mg1 0.000 0.000 0.487
Mg2 0.000 0.229 0.725
Mg3 0.000 0.251 0.252
Mg4 0.000 0.500 0.007
Mg5 0.000 0.749 0.252
Mg6 0.000 0.771 0.725
Mg7 0.500 0.000 0.245
Mg8 0.500 0.000 0.728
Mg9 0.500 0.252 0.971
Mg10 0.500 0.257 0.486
Mg11 0.500 0.500 0.239
Mg12 0.500 0.500 0.728
Mg13 0.500 0.743 0.486
Mg14 0.500 0.748 0.971
O1 0.000 0.000 0.266
O2 0.000 0.000 0.711
O3 0.000 0.256 0.490
O4 0.000 0.283 0.950
O5 0.000 0.500 0.234
O6 0.000 0.717 0.950
O7 0.000 0.744 0.490
O8 0.500 0.000 0.487
O9 0.500 0.000 0.956
O10 0.500 0.250 0.231
O11 0.500 0.261 0.725
O12 0.500 0.500 0.490
O13 0.500 0.500 0.975
O14 0.500 0.739 0.725
O15 0.500 0.750 0.231
```

---

Number 1: total DFT energy (no corrections) -6.00 eV per atom, calculated volume 74.76 Å³ per atom. Number 2: total DFT energy (no corrections) -5.95 eV per atom, calculated volume 78.46 Å³ per atom. Number 3: total DFT energy (no corrections) -6.01 eV per atom, calculated volume 76.97 Å³ per atom. Number 4: total DFT energy (no corrections) -6.02 eV per atom, calculated volume 76.53 Å³ per atom. Number 5: total DFT energy (no corrections) -6.01 eV per atom, calculated volume 77.29 Å³ per atom. Number 6: total DFT energy (no corrections) -7.70 eV per atom, calculated volume 10.23 Å³ per atom.